# 1
A relaxed structure of Na30Ta4Zn20Si9S27O144, computed with PBE.

Calculated values
Energy of formation from the pure elements   -2.18 eV per atom
SG   P1
Theoretical density   3.3 Mg/m³

Geometry as extended XYZ:
```
234
Lattice="9.0578 0.0000 0.0000 -0.0040 15.4675 0.0000 -0.0222 -0.3407 22.3106" Properties=species:S:1:pos:R:3 pbc="T T T"
Na 0.0000 0.0000 0.0000
Na 0.0179 10.1709 7.3874
Na 0.4732 15.0357 7.1454
Na 0.5172 5.2626 7.1498
Na 0.5974 4.7912 0.0099
Na 1.5552 2.3854 3.5455
Na 1.7115 7.1811 18.2743
Na 1.8071 7.8386 3.6192
Na 2.1703 2.2520 18.5634
Na 2.2117 7.5612 11.1813
Na 3.1779 10.0642 12.9949
Na 3.2786 14.9282 16.6687
Na 3.4427 15.0998 5.5022
Na 3.4860 4.6557 20.3761
Na 3.5103 4.8933 9.2815
Na 3.5329 10.3577 1.7381
Na 4.5142 7.4106 22.2872
Na 4.5678 2.4354 7.4174
Na 5.1150 2.1718 14.7660
Na 6.2336 14.8600 18.3169
Na 6.3085 10.3928 10.9412
Na 6.6071 5.0464 3.7354
Na 6.6910 10.0036 18.5516
Na 6.7397 15.2925 11.1596
Na 7.6743 7.6368 5.5334
Na 7.8804 7.3371 16.6417
Na 7.9164 2.4173 1.7950
Na 7.9071 2.3660 12.8779
Na 7.8947 12.3463 20.4332
Na 7.9482 12.6445 9.2046
Ta 3.2849 15.3967 2.1091
Ta 3.4175 15.2602 13.2965
Ta 7.8109 7.7866 2.1533
Ta 8.0091 7.5674 13.3168
Zn 3.2104 10.1884 9.5692
Zn 3.2512 5.0624 1.4516
Zn 3.2685 9.9495 16.1451
Zn 3.3268 5.3196 5.5547
Zn 3.3501 -0.3049 20.0286
Zn 3.3875 -0.0785 8.9042
Zn 3.3866 5.0262 16.7582
Zn 3.4077 4.9184 12.5259
Zn 3.4930 10.0439 20.7474
Zn 3.5210 10.2080 5.0322
Zn 7.7174 2.4639 9.6478
Zn 7.8138 12.8036 1.3694
Zn 7.8279 7.6844 8.8674
Zn 7.8383 12.8756 5.5914
Zn 7.8316 7.5306 20.0155
Zn 7.8876 2.2048 16.1786
Zn 7.9086 12.6915 16.7362
Zn 7.9670 2.3841 4.9561
Zn 7.9457 2.2259 20.7258
Zn 8.0135 12.6872 12.5856
Si 0.1017 15.0301 3.5323
Si 0.1865 9.9358 10.9430
Si 0.6287 5.0767 3.5819
Si 2.0436 1.9894 22.0603
Si 2.1259 7.1910 14.6951
Si 4.6473 7.3783 3.5018
Si 4.6898 2.2002 10.9456
Si 6.5263 9.7888 22.0650
Si 6.6303 14.9208 14.6983
S 0.1219 5.2786 10.9384
S 0.1354 4.5479 18.4678
S 0.1707 -0.0457 18.4493
S 0.1968 10.5751 3.5924
S 0.7050 10.0414 18.4554
S 0.7270 15.2815 10.9439
S 1.4443 7.4129 22.0990
S 1.4968 2.4341 7.3148
S 1.5376 12.6439 14.7150
S 1.9975 2.6233 14.7412
S 2.0372 7.8704 7.3039
S 2.0565 12.4548 7.2842
S 2.0392 12.8098 22.0938
S 4.6505 12.9974 10.9590
S 4.6618 12.2804 18.4283
S 4.6949 2.7552 3.5865
S 4.6952 7.6955 18.4568
S 5.1910 12.8200 3.5549
S 5.2245 2.3059 18.4243
S 5.2687 7.5363 10.9804
S 5.9845 15.1231 22.1003
S 6.0486 10.2072 7.3253
S 6.0699 4.9386 14.7237
S 6.5237 10.3496 14.7164
S 6.5474 4.7362 7.2876
S 6.5625 0.1480 7.2924
S 6.5705 5.1104 22.1287
O 0.0029 14.2029 4.9215
O 0.3732 7.3298 14.4804
O 0.3834 2.0182 22.1422
O 0.5316 7.7186 7.3629
O 0.5512 12.5575 7.2350
O 0.5565 2.4248 14.8916
O 0.5799 7.8014 1.0258
O 0.6054 2.5886 8.4839
O 0.5869 12.7623 22.2545
O 0.6075 7.2051 20.8993
O 0.7162 2.3091 6.0510
O 0.7359 12.4277 13.5086
O 0.7411 12.9037 15.9303
O 1.4955 5.4191 4.9248
O 1.5213 4.7330 2.2829
O 1.5099 15.1207 9.6995
O 1.5134 10.1678 19.6862
O 1.5482 9.8805 17.2508
O 1.5811 5.2200 11.0853
O 1.6351 10.3171 3.7248
O 1.6402 4.6362 18.3994
O 1.6545 -0.1719 18.5205
O 1.6753 -0.1446 12.1346
O 1.8147 9.8745 10.9723
O 1.8564 15.2384 3.3248
O 2.1849 6.3386 16.0788
O 2.2474 8.6489 22.0906
O 2.2962 8.6962 6.0980
O 2.3033 3.4121 13.5611
O 2.3335 1.1781 7.3632
O 2.3380 11.6482 8.4976
O 2.3284 6.2271 22.1850
O 2.3391 13.6481 20.9274
O 2.3683 13.9360 14.5222
O 2.4066 3.6217 7.2563
O 2.4674 1.2612 1.0550
O 2.4972 11.5496 14.8566
O 2.5486 8.5104 8.5431
O 2.5926 11.8246 6.0621
O 2.5921 1.3172 20.7038
O 2.6094 13.8449 7.3916
O 2.6336 1.2021 14.5505
O 2.6377 6.5083 7.2460
O 2.6446 6.4862 13.3391
O 2.6683 13.8666 1.0276
O 2.6617 8.7106 14.7800
O 2.6738 11.4957 22.1022
O 2.6923 3.0951 15.9716
O 2.6918 3.4596 22.2496
O 3.9358 8.8236 3.6948
O 4.0036 3.6290 11.1971
O 4.0169 3.2414 4.8097
O 4.0465 6.7298 2.1415
O 4.0479 6.3514 18.3309
O 4.0688 1.3625 3.3636
O 4.0560 13.6816 12.1972
O 4.0702 11.6425 10.9455
O 4.1088 8.2718 19.7086
O 4.1128 11.6616 17.2072
O 4.1098 13.6792 18.5441
O 4.1266 1.5523 9.5720
O 4.2350 11.7074 3.6866
O 4.2456 1.0870 12.2234
O 4.2871 3.4683 18.3477
O 4.3270 6.4148 11.0846
O 4.3514 14.1032 3.3691
O 4.3582 13.8177 9.7810
O 4.3955 1.0370 18.4633
O 4.3888 11.4786 19.6426
O 4.4278 8.5838 17.2995
O 4.4573 3.5992 2.4104
O 4.5107 8.8255 10.9660
O 4.7033 6.3365 4.7472
O 4.8739 15.0977 14.4884
O 4.8856 9.7021 22.1473
O 5.0632 0.0487 0.9774
O 5.0645 4.8275 7.2120
O 5.0747 0.0155 7.3650
O 5.0833 10.1662 14.8591
O 5.1179 5.0086 22.2775
O 5.1902 10.0825 6.1305
O 5.2229 4.6727 13.5539
O 5.2102 14.9749 20.8511
O 5.2666 10.3251 8.5848
O 5.2825 5.1651 15.9563
O 5.9600 13.0668 4.7934
O 6.0065 12.6111 2.3662
O 6.0307 2.1756 17.1781
O 6.0672 7.3481 9.7577
O 6.0764 2.4310 19.6283
O 6.1153 12.9076 11.0988
O 6.1386 2.5703 3.7372
O 6.1674 12.3898 18.3659
O 6.1823 7.6345 12.1794
O 6.1814 7.5552 18.5287
O 6.3320 2.1129 11.0364
O 6.3336 7.5894 3.3017
O 6.7444 14.0841 16.0776
O 6.7778 0.9168 22.1340
O 6.8355 1.0400 6.1381
O 6.8237 11.1155 13.5012
O 6.8483 3.8730 8.4622
O 6.8681 5.9525 20.9611
O 6.8921 13.9740 22.2087
O 6.9093 6.1904 14.5238
O 6.9274 8.9778 7.3306
O 6.9597 11.3989 7.2201
O 6.9899 3.7890 14.8601
O 7.0060 9.0112 0.9933
O 7.0934 1.0224 14.7879
O 7.0955 9.1555 20.6863
O 7.1245 4.1422 6.0467
O 7.1419 0.7236 8.5495
O 7.1413 8.9243 14.5390
O 7.1672 14.2507 13.3346
O 7.2058 6.1230 1.0719
O 7.1904 10.8547 15.9395
O 7.2094 6.0793 7.4226
O 7.2049 14.2740 7.1633
O 7.2470 11.5497 0.0166
O 7.2452 3.7976 22.0987
O 8.4597 11.3339 11.1987
O 8.5560 3.9489 10.9388
O 8.5588 9.3147 9.6030
O 8.5688 6.0022 12.1484
O 8.5736 14.0919 18.3121
O 8.6025 3.8716 3.7190
O 8.6127 11.0309 4.8510
O 8.6194 14.3658 2.1725
O 8.6365 3.8880 17.2678
O 8.6511 9.1413 3.3971
O 8.6453 0.5385 19.7040
O 8.6445 5.9375 18.5563
O 8.6950 1.1163 3.6162
O 8.7971 6.4918 3.3243
O 8.8082 8.8251 12.2009
O 8.8202 11.2008 18.3410
O 8.8818 14.1183 11.0464
O 8.8975 6.0799 9.7244
O 8.9195 3.7651 19.7139
O 8.9189 8.7669 18.4821
O 8.9646 11.3712 2.4206
O 8.9649 0.8568 17.2998
O 9.0001 1.0643 10.9777
```


# 2
A relaxed structure of Na18Ta16Zn8Si21S15O144, computed with PBE.

Calculated values
Energy of formation from the pure elements   -2.63 eV per atom
SG   P1
Theoretical density   3.8 Mg/m³

Geometry as extended XYZ:
```
222
Lattice="8.9163 0.0000 0.0000 -0.0232 15.4120 0.0000 -0.0096 -0.2250 22.8240" Properties=species:S:1:pos:R:3 pbc="T T T"
Na 0.0000 0.0000 0.0000
Na 8.8990 4.9376 15.1411
Na 1.6735 7.4064 13.2983
Na 2.5301 15.3426 1.8167
Na 4.2717 12.7994 3.6812
Na 4.3227 7.4556 22.7943
Na 4.3349 7.4540 11.2633
Na 4.3535 2.4471 7.5955
Na 4.4004 2.3349 19.1228
Na 4.3853 12.7953 15.1766
Na 5.5838 10.1598 13.2945
Na 6.1106 15.1535 13.3170
Na 7.0494 7.5306 1.8643
Na 7.6424 2.5297 1.9006
Na 8.7679 10.1468 7.6398
Na 8.8180 5.1312 3.6838
Na 8.8296 10.0385 19.1254
Na 8.8536 -0.0943 11.3276
Ta -0.0076 10.3116 4.1546
Ta 0.0429 5.0144 11.6784
Ta 4.2031 12.8617 0.2891
Ta 4.2648 2.4977 15.5812
Ta 4.3465 2.6329 4.1057
Ta 4.3321 7.8568 7.9165
Ta 4.3544 12.7687 18.4019
Ta 4.3696 7.7381 19.3526
Ta 4.3802 12.8890 6.9547
Ta 4.4603 12.8060 11.6561
Ta 8.7199 5.1472 0.3267
Ta 8.7196 10.2121 15.6085
Ta 8.8006 0.1624 7.8895
Ta 8.8078 5.0657 18.4139
Ta 8.8311 0.0564 19.3616
Ta 8.8305 5.1767 6.9588
Zn -0.0010 10.1363 22.0985
Zn 0.1236 0.1382 3.2438
Zn 4.2567 2.5803 10.6764
Zn 4.2478 7.5405 14.7915
Zn 4.3284 2.4452 22.1727
Zn 4.4649 7.7324 3.3265
Zn 8.7101 -0.0732 14.7495
Zn 8.7166 10.2787 10.6538
Si 1.0534 12.5686 1.6563
Si 1.1219 2.1410 16.8767
Si 1.2123 7.3995 9.3509
Si 1.2668 2.8913 9.2676
Si 1.7657 7.6031 16.9013
Si 1.8128 2.6555 1.6337
Si 2.5081 0.0321 5.4948
Si 2.9985 10.5041 20.6994
Si 3.0274 14.9959 20.7485
Si 3.1219 9.9551 5.4545
Si 3.1952 4.7762 13.0786
Si 5.5114 4.9157 1.6756
Si 5.5599 9.8438 16.8458
Si 5.6890 10.6086 9.2972
Si 5.6798 15.1353 9.3264
Si 6.2477 -0.0955 16.8875
Si 6.9374 7.7351 5.4801
Si 7.4252 2.8120 20.7358
Si 7.5058 2.2791 5.4372
Si 7.5138 7.2912 20.7897
Si 7.6448 12.4960 13.0768
S 1.1902 13.0864 16.9283
S 1.2224 8.1130 1.7140
S 1.8027 12.8543 9.3146
S 2.4450 10.2792 13.1038
S 2.4596 5.0480 20.7202
S 3.0408 0.2754 13.1275
S 3.0730 5.4986 5.5417
S 5.6695 0.3529 1.7211
S 5.6601 5.3682 16.9419
S 6.2588 10.3882 1.6875
S 6.2786 5.1495 9.3245
S 6.9203 2.5681 13.1014
S 6.9013 12.7469 20.7409
S 7.5163 7.9629 13.1404
S 7.5266 13.2031 5.5127
O 0.4745 1.4279 9.1874
O 0.4935 6.7765 1.6618
O 0.5223 3.5696 10.6301
O 0.5401 8.7484 2.9579
O 0.5314 11.8393 0.3647
O 0.5492 1.5198 15.5474
O 0.5596 3.6490 17.1722
O 0.5689 6.5944 8.0824
O 0.5779 14.0878 1.8193
O 0.5743 13.6518 18.1411
O 0.5909 11.6901 16.7787
O 0.6181 8.8577 9.5100
O 0.7182 1.4639 1.7708
O 0.7309 6.3599 17.2007
O 0.7577 3.8329 8.0498
O 0.8269 11.5902 3.0220
O 0.8375 8.9903 16.7164
O 0.8676 6.4013 10.6909
O 0.9160 4.0849 1.5438
O 0.9245 1.1873 18.2331
O 0.9407 8.8857 0.5259
O 0.9734 14.0843 9.2076
O 1.0159 11.6467 9.3919
O 1.0241 13.8476 15.7126
O 1.3775 14.9381 20.5283
O 1.4352 4.9041 12.9864
O 1.4365 10.3560 20.7025
O 1.4532 10.1288 5.3567
O 1.4793 0.1732 6.8084
O 1.5778 4.9453 19.4975
O 1.5866 5.2866 5.7331
O 1.6243 0.0666 13.3301
O 1.6123 5.2602 21.9290
O 1.6157 10.4124 14.3484
O 1.6288 10.0695 11.9205
O 1.7743 15.0688 4.1258
O 2.4585 7.3091 15.4959
O 2.6440 7.9148 1.9244
O 2.6677 12.8604 17.1168
O 2.6728 13.0432 10.5484
O 2.6776 12.7412 8.1123
O 2.7467 2.2730 0.4092
O 2.7769 2.8180 3.0234
O 2.8009 2.3132 16.7529
O 2.7873 7.7754 18.1948
O 2.8174 12.6933 1.5663
O 2.8319 2.7555 9.2930
O 2.8601 7.3499 9.1507
O 3.2231 6.2649 4.3253
O 3.2642 3.8592 20.7439
O 3.2900 6.2903 20.5635
O 3.2904 11.5577 13.0310
O 3.3294 9.0094 6.8273
O 3.3435 1.0385 11.9338
O 3.3705 13.9935 22.0779
O 3.4015 9.1504 13.2127
O 3.4450 1.3880 5.3816
O 3.4452 3.8057 14.4410
O 3.4988 14.1749 5.8286
O 3.5086 11.4026 19.4400
O 3.6510 6.1216 6.7574
O 3.6460 14.1407 19.4783
O 3.6711 6.3204 13.2255
O 3.6987 1.0111 20.7877
O 3.6972 4.1358 5.4526
O 3.6940 11.4596 5.7714
O 3.7321 0.8951 14.3616
O 3.7237 9.3303 4.1458
O 3.7433 4.0637 11.7876
O 3.7396 14.3194 13.0537
O 3.7450 11.1770 22.0365
O 3.7881 9.0331 20.5956
O 4.9120 9.1372 9.2094
O 4.9420 14.4100 1.6197
O 4.9598 11.2819 10.6749
O 4.9870 0.9756 2.9439
O 4.9937 11.3441 17.1349
O 5.0236 6.4490 1.8253
O 5.0235 14.3004 8.0806
O 5.0424 5.9542 18.1432
O 5.0623 4.1937 0.3547
O 5.0443 9.2596 15.4553
O 5.0651 3.9881 16.7911
O 5.0886 1.1633 9.5065
O 5.1870 11.5404 8.0712
O 5.1868 14.0678 17.2021
O 5.3166 1.2826 16.7041
O 5.3329 9.2507 1.8226
O 5.3369 14.1242 10.6714
O 5.3423 8.8686 18.1730
O 5.3698 3.9034 3.0299
O 5.4409 6.3824 9.1975
O 5.4659 1.1480 0.5267
O 5.4474 11.6853 1.5918
O 5.4838 3.9428 9.3847
O 5.5096 6.1505 15.7230
O 5.8719 2.4510 5.3813
O 5.8693 2.6536 20.7754
O 5.8636 7.2542 20.5176
O 5.8637 12.5738 12.9858
O 5.9129 7.8934 6.7946
O 6.0242 12.6350 19.5103
O 6.0373 12.9838 5.7213
O 6.0477 12.9469 21.9491
O 6.0830 2.7220 14.3450
O 6.0724 7.8150 13.3321
O 6.0994 2.3566 11.9151
O 6.2406 7.3990 4.0932
O 6.9096 14.9747 15.4896
O 7.0769 10.1759 0.5028
O 7.0945 0.1467 1.9535
O 7.1001 10.5398 2.9344
O 7.1371 5.1632 17.1312
O 7.1342 5.3477 10.5492
O 7.1470 5.0438 8.1116
O 7.2415 10.0105 16.7587
O 7.2663 0.0652 18.1882
O 7.2549 10.4662 9.3160
O 7.2799 5.0291 1.5938
O 7.3188 15.0565 9.1337
O 7.6853 13.9876 4.3183
O 7.6936 11.5409 20.7781
O 7.7339 3.8654 13.0032
O 7.7307 13.9779 20.5815
O 7.7757 8.7701 11.9606
O 7.8116 1.2996 6.7868
O 7.8497 1.4326 13.2304
O 7.8400 11.4793 14.4297
O 7.8549 6.3246 22.1073
O 7.8629 9.1101 5.3287
O 7.9526 3.7216 19.4761
O 7.9676 6.4851 5.8133
O 8.0851 8.7634 20.8917
O 8.1155 1.7000 4.0942
O 8.1113 11.8124 5.3893
O 8.1179 13.7793 6.7478
O 8.1101 14.0302 13.2110
O 8.1557 3.7602 5.7795
O 8.1467 6.4849 19.4940
O 8.1493 11.7156 11.8065
O 8.1873 3.4611 22.0839
O 8.1821 8.6002 14.3733
O 8.1925 6.6112 13.0661
O 8.2319 1.3433 20.5935
```